Entry 1:
Material: MnAg2SnTe4
Method: DFT, PBE
State: optimized geometry

Values from the calculation:
energy of formation: -0.35 eV per atom
symmetry: I-42m

abc: 6.4272 6.4272 13.0009
angles: 90.00 90.00 90.00
Last column: nearest neighbours and their distance in Å.
Positions (direct):
Mn: 0.0000 0.0000 0.0000  4 Te 2.74
Mn: 0.5000 0.5000 0.5000  4 Te 2.74
Ag: 0.0000 0.5000 0.2500  4 Te 2.80
Ag: 0.0000 0.5000 0.7500  4 Te 2.80
Ag: 0.5000 0.0000 0.2500  4 Te 2.80
Ag: 0.5000 0.0000 0.7500  4 Te 2.80
Sn: 0.0000 0.0000 0.5000  4 Te 2.84
Sn: 0.5000 0.5000 0.0000  4 Te 2.84
Te: 0.2432 0.2432 0.8753  1 Mn 2.74, 2 Ag 2.80, 1 Sn 2.84
Te: 0.2432 0.7568 0.1247  1 Mn 2.74, 2 Ag 2.80, 1 Sn 2.84
Te: 0.2568 0.2568 0.3753  1 Mn 2.74, 2 Ag 2.80, 1 Sn 2.84
Te: 0.2568 0.7432 0.6247  1 Mn 2.74, 2 Ag 2.80, 1 Sn 2.84
Te: 0.7432 0.2568 0.6247  1 Mn 2.74, 2 Ag 2.80, 1 Sn 2.84
Te: 0.7432 0.7432 0.3753  1 Mn 2.74, 2 Ag 2.80, 1 Sn 2.84
Te: 0.7568 0.2432 0.1247  1 Mn 2.74, 2 Ag 2.80, 1 Sn 2.84
Te: 0.7568 0.7568 0.8753  1 Mn 2.74, 2 Ag 2.80, 1 Sn 2.84



Entry 2:
Material: InPbCl3
Method: DFT, PBE
State: optimized geometry

Values from the calculation:
energy of formation: -1.39 eV per atom
symmetry: Cmcm

abc: 7.3304 7.3304 10.6820
angles: 90.00 90.00 145.91
Last column: nearest neighbours and their distance in Å.
Positions (direct):
In: 0.2476 0.7524 0.7500  6 Cl 3.12-3.40
In: 0.7524 0.2476 0.2500  6 Cl 3.12-3.40
Pb: 0.5000 0.5000 0.0000  6 Cl 2.93-2.94
Pb: 0.5000 0.5000 0.5000  6 Cl 2.93-2.94
Cl: 0.1360 0.8640 0.0571  2 Pb 2.94
Cl: 0.1360 0.8640 0.4429  2 Pb 2.94
Cl: 0.4143 0.5857 0.2500  2 Pb 2.93, 2 In 3.12
Cl: 0.5857 0.4143 0.7500  2 Pb 2.93, 2 In 3.12
Cl: 0.8640 0.1360 0.5571  2 Pb 2.94
Cl: 0.8640 0.1360 0.9429  2 Pb 2.94



Entry 3:
Material: In2GaS4
Method: DFT, PBE
State: optimized geometry

Values from the calculation:
energy of formation: -0.77 eV per atom
symmetry: P3m1

abc: 3.9838 3.9838 12.7798
angles: 90.00 90.00 120.00
Last column: nearest neighbours and their distance in Å.
Positions (direct):
In: 0.0000 0.0000 0.0000  6 S 2.72-2.74
In: 0.3333 0.6667 0.6887  4 S 2.50-2.53
Ga: 0.6667 0.3333 0.2968  4 S 2.33-2.42
S: 0.3333 0.6667 0.3569  3 Ga 2.42
S: 0.3333 0.6667 0.8840  4 In 2.50-2.74
S: 0.6667 0.3333 0.1142  1 Ga 2.33
S: 0.6667 0.3333 0.6063  3 In 2.53



Entry 4:
Material: V3Ir
Method: DFT, PBE
State: optimized geometry

Values from the calculation:
energy of formation: -0.50 eV per atom
symmetry: Pm-3n

abc: 4.7870 4.7870 4.7870
angles: 90.00 90.00 90.00
Last column: nearest neighbours and their distance in Å.
Positions (direct):
V: 0.0000 0.2500 0.5000  2 V 2.39, 4 Ir 2.68
V: 0.0000 0.7500 0.5000  2 V 2.39, 4 Ir 2.68
V: 0.2500 0.5000 0.0000  2 V 2.39, 4 Ir 2.68
V: 0.5000 0.0000 0.2500  2 V 2.39, 4 Ir 2.68
V: 0.5000 0.0000 0.7500  2 V 2.39, 4 Ir 2.68
V: 0.7500 0.5000 0.0000  2 V 2.39, 4 Ir 2.68
Ir: 0.0000 0.0000 0.0000  12 V 2.68
Ir: 0.5000 0.5000 0.5000  12 V 2.68